Run P
P2O9 (PBE, optimized geometry); spin magnetization = 0.0 μB per formula unit; symmetry = P2_12_12_1, No. 19
1.0
8.674 0.000 0.000
0.000 9.415 0.000
0.000 0.000 14.738
P O
16 72
direct
0.001 0.081 0.183 P
0.179 0.907 0.733 P
0.207 0.254 0.071 P
0.238 0.950 0.064 P
0.262 0.050 0.564 P
0.293 0.746 0.571 P
0.321 0.093 0.233 P
0.499 0.919 0.683 P
0.501 0.419 0.817 P
0.679 0.593 0.267 P
0.707 0.246 0.929 P
0.738 0.550 0.936 P
0.762 0.450 0.436 P
0.793 0.754 0.429 P
0.821 0.407 0.767 P
0.999 0.581 0.317 P
0.043 0.223 0.123 O
0.049 0.909 0.867 O
0.064 0.966 0.108 O
0.091 0.020 0.802 O
0.104 0.795 0.807 O
0.108 0.348 0.994 O
0.123 0.456 0.285 O
0.135 0.099 0.484 O
0.135 0.680 0.268 O
0.139 0.077 0.258 O
0.156 0.030 0.653 O
0.165 0.623 0.545 O
0.171 0.250 0.494 O
0.184 0.772 0.662 O
0.198 0.778 0.055 O
0.220 0.557 0.234 O
0.240 0.109 0.016 O
0.241 0.438 0.972 O
0.259 0.562 0.472 O
0.260 0.891 0.516 O
0.280 0.443 0.734 O
0.302 0.222 0.555 O
0.316 0.228 0.162 O
0.329 0.750 0.994 O
0.335 0.377 0.045 O
0.344 0.970 0.153 O
0.361 0.923 0.758 O
0.365 0.320 0.768 O
0.365 0.901 0.984 O
0.377 0.544 0.785 O
0.392 0.652 0.494 O
0.396 0.205 0.307 O
0.409 0.980 0.302 O
0.436 0.034 0.608 O
0.451 0.091 0.367 O
0.457 0.777 0.623 O
0.543 0.277 0.877 O
0.549 0.591 0.133 O
0.564 0.534 0.892 O
0.591 0.480 0.198 O
0.604 0.705 0.193 O
0.608 0.152 0.006 O
0.623 0.044 0.715 O
0.635 0.401 0.516 O
0.635 0.820 0.732 O
0.639 0.423 0.742 O
0.656 0.470 0.347 O
0.665 0.877 0.455 O
0.671 0.250 0.506 O
0.684 0.728 0.338 O
0.698 0.722 0.945 O
0.720 0.943 0.766 O
0.740 0.391 0.984 O
0.741 0.062 0.028 O
0.759 0.938 0.528 O
0.760 0.609 0.484 O
0.780 0.057 0.266 O
0.802 0.278 0.445 O
0.816 0.272 0.838 O
0.829 0.750 0.006 O
0.835 0.123 0.955 O
0.844 0.530 0.847 O
0.861 0.577 0.242 O
0.865 0.180 0.232 O
0.865 0.599 0.016 O
0.877 0.956 0.215 O
0.892 0.848 0.506 O
0.896 0.295 0.693 O
0.909 0.520 0.698 O
0.936 0.466 0.392 O
0.951 0.409 0.633 O
0.957 0.723 0.377 O

=====

Run Q
P2O9 (PBE, optimized geometry); spin magnetization = 8.0 μB per formula unit; symmetry = P2_1/c, No. 14
1.0
7.878 0.000 0.000
0.000 13.579 0.000
-2.999 0.000 7.870
P O
8 36
direct
0.145 0.137 0.074 P
0.145 0.363 0.574 P
0.261 0.602 0.065 P
0.261 0.898 0.565 P
0.739 0.102 0.435 P
0.739 0.398 0.935 P
0.855 0.637 0.426 P
0.855 0.863 0.926 P
0.041 0.628 0.569 O
0.041 0.872 0.069 O
0.082 0.628 0.919 O
0.082 0.872 0.419 O
0.114 0.106 0.238 O
0.114 0.394 0.738 O
0.215 0.243 0.087 O
0.215 0.257 0.587 O
0.241 0.620 0.238 O
0.241 0.880 0.738 O
0.294 0.072 0.049 O
0.294 0.428 0.549 O
0.306 0.007 0.554 O
0.306 0.493 0.054 O
0.413 0.668 0.049 O
0.413 0.832 0.549 O
0.482 0.639 0.636 O
0.482 0.861 0.136 O
0.518 0.139 0.864 O
0.518 0.361 0.364 O
0.587 0.168 0.451 O
0.587 0.332 0.951 O
0.694 0.507 0.946 O
0.694 0.993 0.446 O
0.706 0.572 0.451 O
0.706 0.928 0.951 O
0.759 0.120 0.262 O
0.759 0.380 0.762 O
0.785 0.743 0.413 O
0.785 0.757 0.913 O
0.886 0.606 0.262 O
0.886 0.894 0.762 O
0.918 0.128 0.581 O
0.918 0.372 0.081 O
0.959 0.128 0.931 O
0.959 0.372 0.431 O

=====

Of them, run P has the lowest stability.

=====

Run P
P2PbO7 (PBE, optimized geometry); spin magnetization = 1.0 μB per formula unit; symmetry = P-1, No. 2
1.0
7.481 0.000 0.000
2.333 7.904 0.000
1.688 1.723 9.860
P Pb O
8 4 28
direct
0.040 0.458 0.220 P
0.163 0.273 0.975 P
0.332 0.929 0.657 P
0.415 0.270 0.542 P
0.585 0.730 0.458 P
0.668 0.071 0.343 P
0.837 0.727 0.025 P
0.960 0.542 0.780 P
0.110 0.737 0.437 Pb
0.291 0.855 0.037 Pb
0.709 0.145 0.963 Pb
0.890 0.263 0.563 Pb
0.006 0.187 0.999 O
0.014 0.685 0.679 O
0.151 0.419 0.842 O
0.152 0.568 0.252 O
0.161 0.382 0.088 O
0.168 0.921 0.239 O
0.182 0.973 0.563 O
0.215 0.377 0.538 O
0.286 0.868 0.806 O
0.356 0.147 0.964 O
0.420 0.089 0.643 O
0.444 0.660 0.414 O
0.485 0.538 0.050 O
0.489 0.216 0.394 O
0.511 0.784 0.606 O
0.515 0.462 0.950 O
0.556 0.340 0.586 O
0.580 0.911 0.357 O
0.644 0.853 0.036 O
0.714 0.132 0.194 O
0.785 0.623 0.462 O
0.818 0.027 0.437 O
0.832 0.079 0.761 O
0.839 0.618 0.912 O
0.848 0.432 0.748 O
0.849 0.581 0.158 O
0.986 0.315 0.321 O
0.994 0.813 0.001 O

=====

Run Q
P2PbO7 (PBE, optimized geometry); spin magnetization = 0.7 μB per formula unit; symmetry = P4_12_12, No. 92
1.0
11.843 0.000 0.000
0.000 11.843 0.000
0.000 0.000 11.897
P Pb O
24 12 84
direct
0.062 0.183 0.219 P
0.076 0.347 0.040 P
0.104 0.813 0.543 P
0.153 0.576 0.290 P
0.183 0.062 0.781 P
0.187 0.896 0.957 P
0.313 0.396 0.293 P
0.317 0.562 0.469 P
0.347 0.076 0.960 P
0.396 0.313 0.707 P
0.424 0.847 0.210 P
0.438 0.683 0.031 P
0.562 0.317 0.531 P
0.576 0.153 0.710 P
0.604 0.687 0.207 P
0.653 0.924 0.460 P
0.683 0.438 0.969 P
0.687 0.604 0.793 P
0.813 0.104 0.457 P
0.817 0.938 0.281 P
0.847 0.424 0.790 P
0.896 0.187 0.043 P
0.924 0.653 0.540 P
0.938 0.817 0.719 P
0.070 0.343 0.472 Pb
0.118 0.882 0.250 Pb
0.157 0.570 0.722 Pb
0.343 0.070 0.528 Pb
0.382 0.382 0.000 Pb
0.430 0.843 0.778 Pb
0.570 0.157 0.278 Pb
0.618 0.618 0.500 Pb
0.657 0.930 0.028 Pb
0.843 0.430 0.222 Pb
0.882 0.118 0.750 Pb
0.930 0.657 0.972 Pb
0.004 0.739 0.797 O
0.007 0.437 0.100 O
0.008 0.739 0.475 O
0.026 0.878 0.634 O
0.063 0.507 0.350 O
0.094 0.135 0.732 O
0.103 0.849 0.038 O
0.104 0.379 0.671 O
0.115 0.668 0.213 O
0.121 0.604 0.921 O
0.122 0.974 0.866 O
0.133 0.261 0.132 O
0.135 0.094 0.268 O
0.151 0.897 0.462 O
0.153 0.153 0.500 O
0.168 0.385 0.963 O
0.183 0.734 0.604 O
0.234 0.317 0.354 O
0.239 0.492 0.225 O
0.239 0.496 0.547 O
0.239 0.633 0.382 O
0.261 0.133 0.868 O
0.261 0.992 0.025 O
0.261 0.996 0.703 O
0.266 0.817 0.896 O
0.317 0.234 0.646 O
0.332 0.885 0.287 O
0.347 0.653 0.750 O
0.349 0.397 0.788 O
0.365 0.594 0.982 O
0.367 0.761 0.118 O
0.378 0.474 0.384 O
0.379 0.104 0.329 O
0.385 0.168 0.037 O
0.396 0.879 0.579 O
0.397 0.349 0.212 O
0.406 0.635 0.518 O
0.437 0.007 0.900 O
0.474 0.378 0.616 O
0.492 0.239 0.775 O
0.493 0.937 0.150 O
0.496 0.239 0.453 O
0.504 0.761 0.953 O
0.507 0.063 0.650 O
0.508 0.761 0.275 O
0.526 0.622 0.116 O
0.563 0.993 0.400 O
0.594 0.365 0.018 O
0.603 0.651 0.712 O
0.604 0.121 0.079 O
0.615 0.832 0.537 O
0.621 0.896 0.829 O
0.622 0.526 0.884 O
0.633 0.239 0.618 O
0.635 0.406 0.482 O
0.651 0.603 0.288 O
0.653 0.347 0.250 O
0.668 0.115 0.787 O
0.683 0.766 0.146 O
0.734 0.183 0.396 O
0.739 0.004 0.203 O
0.739 0.008 0.525 O
0.739 0.867 0.368 O
0.761 0.367 0.882 O
0.761 0.504 0.047 O
0.761 0.508 0.725 O
0.766 0.683 0.854 O
0.817 0.266 0.104 O
0.832 0.615 0.463 O
0.847 0.847 0.000 O
0.849 0.103 0.962 O
0.865 0.906 0.768 O
0.867 0.739 0.632 O
0.878 0.026 0.366 O
0.879 0.396 0.421 O
0.885 0.332 0.713 O
0.896 0.621 0.171 O
0.897 0.151 0.538 O
0.906 0.865 0.232 O
0.937 0.493 0.850 O
0.974 0.122 0.134 O
0.992 0.261 0.975 O
0.993 0.563 0.600 O
0.996 0.261 0.297 O

=====

Of them, run P has the lowest stability.